(1)
The following is a DFT calculation (PBE+U) of a relaxed MnFeCoP3O12 crystal.

Its space-group type is No. 6. The calculation puts the distance to the lowest polymorph of the same formula at 6 meV per atom. For the formation energy from the elements, the calculation gives -2.2608 eV per atom. Its total energy is -7.0692 eV/atom. The calculation puts the theoretical density at 3.50 g cm⁻³. The size of the total moment is 13.000 μB per formula unit.

Cell: 5.956 9.929 14.592 Å, 89.49 90.00 90.00°
Sites, in units of the cell vectors:
Mn  0.500  0.782  0.147
Mn  0.500  0.781  0.481
Mn  0.000  0.714  0.647
Mn  0.500  0.283  0.020
Fe  0.500  0.778  0.820
Fe  0.000  0.723  0.322
Fe  0.000  0.727  0.988
Fe  0.500  0.276  0.347
Co  0.500  0.276  0.679
Co  0.000  0.223  0.183
Co  0.000  0.220  0.519
Co  0.000  0.218  0.848
P  0.000  0.903  0.472
P  0.000  0.906  0.138
P  0.000  0.902  0.803
P  0.500  0.600  0.974
P  0.500  0.601  0.306
P  0.500  0.596  0.640
P  0.000  0.402  0.028
P  0.000  0.399  0.363
P  0.000  0.400  0.695
P  0.500  0.098  0.192
P  0.500  0.096  0.528
P  0.500  0.100  0.859
O  0.500  0.947  0.216
O  0.500  0.945  0.552
O  0.500  0.950  0.883
O  0.000  0.879  0.576
O  0.000  0.883  0.241
O  0.000  0.883  0.908
O  0.199  0.830  0.089
O  0.801  0.830  0.089
O  0.801  0.828  0.423
O  0.199  0.828  0.423
O  0.205  0.828  0.758
O  0.795  0.828  0.758
O  0.701  0.673  0.925
O  0.299  0.673  0.925
O  0.296  0.674  0.260
O  0.704  0.674  0.260
O  0.702  0.668  0.590
O  0.298  0.668  0.590
O  0.500  0.619  0.079
O  0.500  0.617  0.743
O  0.500  0.619  0.412
O  0.000  0.552  0.051
O  0.000  0.550  0.386
O  0.000  0.552  0.719
O  0.500  0.449  0.953
O  0.500  0.450  0.286
O  0.500  0.443  0.619
O  0.000  0.382  0.258
O  0.000  0.383  0.591
O  0.000  0.382  0.925
O  0.200  0.328  0.079
O  0.800  0.328  0.079
O  0.202  0.324  0.411
O  0.798  0.324  0.411
O  0.201  0.328  0.745
O  0.799  0.328  0.745
O  0.704  0.170  0.575
O  0.296  0.170  0.575
O  0.702  0.172  0.241
O  0.298  0.172  0.241
O  0.704  0.174  0.905
O  0.296  0.174  0.905
O  0.500  0.116  0.424
O  0.500  0.121  0.754
O  0.500  0.117  0.088
O  0.000  0.056  0.113
O  0.000  0.053  0.449
O  0.000  0.053  0.778

(2)
The following is a DFT calculation (PBE+U) of a relaxed MnFeCoP3O12 crystal.

Its space-group type is No. 31. The calculation puts the distance to the lowest polymorph of the same formula at 4 meV per atom. For the formation energy from the elements, the calculation gives -2.2629 eV per atom. Its total energy is -7.0712 eV/atom. The calculation puts the theoretical density at 3.51 g cm⁻³. The size of the total moment is 13.000 μB per formula unit.

Cell: 5.965 9.887 14.601 Å, 90.00 90.00 90.00°
Sites, in units of the cell vectors:
Mn  0.000  0.533  0.520
Mn  0.500  0.467  0.020
Mn  0.000  0.032  0.648
Mn  0.500  0.968  0.148
Fe  0.000  0.523  0.178
Fe  0.500  0.477  0.678
Fe  0.000  0.025  0.323
Fe  0.500  0.975  0.823
Co  0.000  0.531  0.849
Co  0.500  0.469  0.349
Co  0.000  0.020  0.990
Co  0.500  0.980  0.490
P  0.500  0.651  0.862
P  0.500  0.655  0.524
P  0.500  0.650  0.195
P  0.000  0.350  0.695
P  0.000  0.349  0.362
P  0.000  0.345  0.024
P  0.500  0.150  0.973
P  0.500  0.153  0.639
P  0.500  0.151  0.305
P  0.000  0.849  0.805
P  0.000  0.850  0.473
P  0.000  0.847  0.139
O  0.000  0.698  0.782
O  0.000  0.697  0.452
O  0.000  0.696  0.115
O  0.500  0.631  0.758
O  0.500  0.635  0.422
O  0.500  0.631  0.089
O  0.706  0.577  0.908
O  0.698  0.580  0.576
O  0.702  0.578  0.242
O  0.294  0.577  0.908
O  0.302  0.580  0.576
O  0.298  0.578  0.242
O  0.202  0.422  0.742
O  0.206  0.423  0.408
O  0.198  0.420  0.076
O  0.798  0.422  0.742
O  0.794  0.423  0.408
O  0.802  0.420  0.076
O  0.000  0.365  0.922
O  0.000  0.369  0.589
O  0.000  0.369  0.258
O  0.500  0.303  0.952
O  0.500  0.304  0.615
O  0.500  0.302  0.282
O  0.000  0.197  0.716
O  0.000  0.199  0.386
O  0.000  0.193  0.049
O  0.500  0.131  0.742
O  0.500  0.129  0.411
O  0.500  0.132  0.078
O  0.700  0.079  0.924
O  0.700  0.078  0.589
O  0.705  0.078  0.260
O  0.300  0.079  0.924
O  0.300  0.078  0.589
O  0.295  0.078  0.260
O  0.205  0.922  0.760
O  0.200  0.921  0.424
O  0.200  0.922  0.089
O  0.795  0.922  0.760
O  0.800  0.921  0.424
O  0.800  0.922  0.089
O  0.000  0.871  0.911
O  0.000  0.868  0.578
O  0.000  0.869  0.242
O  0.500  0.801  0.886
O  0.500  0.807  0.549
O  0.500  0.803  0.216

(3)
The following is a DFT calculation (PBE+U) of a relaxed MnFeCoP3O12 crystal.

Its space-group type is No. 6. The calculation puts the distance to the lowest polymorph of the same formula at 2 meV per atom. For the formation energy from the elements, the calculation gives -2.2653 eV per atom. Its total energy is -7.0736 eV/atom. The calculation puts the theoretical density at 3.49 g cm⁻³. The size of the total moment is 13.000 μB per formula unit.

Cell: 5.988 9.886 14.612 Å, 89.71 90.00 90.00°
Sites, in units of the cell vectors:
Mn  0.000  0.212  0.478
Mn  0.000  0.216  0.812
Mn  0.000  0.217  0.146
Mn  0.500  0.286  0.312
Fe  0.500  0.277  0.654
Fe  0.500  0.279  0.986
Fe  0.000  0.723  0.348
Fe  0.000  0.729  0.010
Co  0.000  0.726  0.677
Co  0.500  0.779  0.184
Co  0.500  0.777  0.514
Co  0.500  0.770  0.841
P  0.500  0.098  0.472
P  0.500  0.095  0.806
P  0.500  0.098  0.139
P  0.000  0.400  0.305
P  0.000  0.400  0.639
P  0.000  0.400  0.972
P  0.500  0.604  0.030
P  0.500  0.599  0.363
P  0.500  0.599  0.696
P  0.000  0.900  0.529
P  0.000  0.900  0.860
P  0.000  0.903  0.193
O  0.000  0.054  0.218
O  0.000  0.053  0.552
O  0.000  0.053  0.880
O  0.500  0.121  0.242
O  0.500  0.119  0.575
O  0.500  0.120  0.908
O  0.299  0.168  0.423
O  0.701  0.168  0.423
O  0.301  0.173  0.089
O  0.699  0.173  0.089
O  0.302  0.169  0.755
O  0.698  0.169  0.755
O  0.796  0.331  0.593
O  0.204  0.331  0.593
O  0.796  0.328  0.926
O  0.204  0.328  0.926
O  0.799  0.328  0.257
O  0.201  0.328  0.257
O  0.000  0.380  0.077
O  0.000  0.380  0.744
O  0.000  0.377  0.410
O  0.500  0.452  0.050
O  0.500  0.448  0.718
O  0.500  0.446  0.385
O  0.000  0.552  0.953
O  0.000  0.552  0.286
O  0.000  0.555  0.622
O  0.500  0.622  0.591
O  0.500  0.628  0.926
O  0.500  0.618  0.258
O  0.298  0.677  0.078
O  0.702  0.677  0.078
O  0.297  0.671  0.411
O  0.703  0.671  0.411
O  0.299  0.672  0.744
O  0.701  0.672  0.744
O  0.799  0.828  0.578
O  0.201  0.828  0.578
O  0.799  0.828  0.242
O  0.201  0.828  0.242
O  0.800  0.830  0.910
O  0.200  0.830  0.910
O  0.000  0.877  0.756
O  0.000  0.885  0.090
O  0.000  0.881  0.426
O  0.500  0.948  0.116
O  0.500  0.943  0.452
O  0.500  0.943  0.785

(4)
The following is a DFT calculation (PBE+U) of a relaxed Sr10Fe4CoMo5O30 crystal.

Its space-group type is No. 2. The calculation puts the distance to the lowest polymorph of the same formula at 0 meV per atom. For the formation energy from the elements, the calculation gives -2.5134 eV per atom. Its total energy is -6.7788 eV/atom. The calculation puts the theoretical density at 5.51 g cm⁻³. The size of the total moment is 22.995 μB per formula unit.

Cell: 7.978 9.737 9.845 Å, 81.41 113.86 114.12°
Sites, in units of the cell vectors:
Sr  0.051  0.397  0.199
Sr  0.546  0.397  0.200
Sr  0.244  0.999  0.999
Sr  0.756  0.001  0.001
Sr  0.454  0.603  0.800
Sr  0.949  0.603  0.801
Sr  0.647  0.196  0.598
Sr  0.147  0.195  0.599
Sr  0.853  0.805  0.401
Sr  0.353  0.804  0.402
Fe  0.700  0.097  0.301
Fe  0.901  0.700  0.103
Fe  0.099  0.300  0.897
Fe  0.300  0.903  0.699
Co  0.500  0.500  0.500
Mo  0.200  0.101  0.298
Mo  0.399  0.698  0.099
Mo  0.601  0.302  0.901
Mo  0.800  0.899  0.702
Mo  0.000  0.500  0.500
O  0.926  0.073  0.285
O  0.088  0.906  0.206
O  0.511  0.897  0.195
O  0.140  0.673  0.087
O  0.448  0.605  0.292
O  0.661  0.727  0.114
O  0.288  0.507  0.001
O  0.149  0.200  0.101
O  0.712  0.493  0.999
O  0.339  0.273  0.886
O  0.649  0.202  0.096
O  0.860  0.327  0.913
O  0.489  0.103  0.805
O  0.351  0.798  0.904
O  0.912  0.094  0.794
O  0.526  0.870  0.687
O  0.851  0.800  0.899
O  0.074  0.927  0.715
O  0.688  0.707  0.602
O  0.552  0.395  0.708
O  0.113  0.696  0.600
O  0.738  0.473  0.487
O  0.048  0.404  0.691
O  0.262  0.527  0.513
O  0.887  0.304  0.400
O  0.749  0.000  0.498
O  0.312  0.293  0.398
O  0.251  0.000  0.502
O  0.474  0.130  0.313
O  0.952  0.596  0.309

(5)
The following is a DFT calculation (PBE+U) of a relaxed Sr10Fe4CoMo5O30 crystal.

Its space-group type is No. 87. The calculation puts the distance to the lowest polymorph of the same formula at 12 meV per atom. For the formation energy from the elements, the calculation gives -2.5009 eV per atom. Its total energy is -6.7663 eV/atom. The calculation puts the theoretical density at 5.55 g cm⁻³. The size of the total moment is 24.987 μB per formula unit.

Cell: 9.749 9.749 9.749 Å, 99.76 99.76 131.38°
Sites, in units of the cell vectors:
Sr  0.348  0.051  0.900
Sr  0.750  0.250  0.500
Sr  0.552  0.652  0.703
Sr  0.949  0.850  0.297
Sr  0.150  0.448  0.100
Sr  0.250  0.750  0.500
Sr  0.652  0.949  0.100
Sr  0.448  0.348  0.297
Sr  0.850  0.552  0.900
Sr  0.051  0.150  0.703
Fe  0.799  0.402  0.201
Fe  0.598  0.799  0.396
Fe  0.402  0.201  0.604
Fe  0.201  0.598  0.799
Co  0.000  0.000  0.000
Mo  0.900  0.702  0.602
Mo  0.298  0.900  0.198
Mo  0.100  0.298  0.398
Mo  0.500  0.500  0.000
Mo  0.702  0.100  0.802
O  0.448  0.849  0.801
O  0.849  0.048  0.401
O  0.647  0.448  0.599
O  0.048  0.647  0.199
O  0.253  0.253  0.000
O  0.151  0.952  0.599
O  0.552  0.151  0.199
O  0.353  0.552  0.401
O  0.747  0.747  0.000
O  0.952  0.353  0.801
O  0.847  0.028  0.875
O  0.642  0.427  0.069
O  0.442  0.831  0.273
O  0.239  0.231  0.469
O  0.039  0.633  0.673
O  0.358  0.573  0.931
O  0.153  0.972  0.125
O  0.961  0.367  0.327
O  0.761  0.769  0.531
O  0.558  0.169  0.727
O  0.769  0.239  0.008
O  0.573  0.642  0.215
O  0.367  0.039  0.406
O  0.169  0.442  0.612
O  0.972  0.847  0.820
O  0.633  0.961  0.594
O  0.427  0.358  0.785
O  0.231  0.761  0.992
O  0.028  0.153  0.180
O  0.831  0.558  0.388

(6)
The following is a DFT calculation (PBE+U) of a relaxed Sr10Fe3Co2Mo5O30 crystal.

Its space-group type is No. 2. For the formation energy from the elements, the calculation gives -2.4862 eV per atom. Its total energy is -6.7367 eV/atom. The calculation puts the theoretical density at 5.46 g cm⁻³.

Cell: 8.033 9.756 9.880 Å, 79.43 66.03 65.69°
Sites, in units of the cell vectors:
Sr  0.148  0.401  0.300
Sr  0.754  0.000  0.500
Sr  0.948  0.204  0.900
Sr  0.550  0.796  0.102
Sr  0.348  0.599  0.701
Sr  0.652  0.401  0.299
Sr  0.246  0.000  0.500
Sr  0.450  0.204  0.898
Sr  0.052  0.796  0.100
Sr  0.852  0.599  0.700
Fe  0.300  0.301  0.600
Fe  0.500  0.500  0.000
Fe  0.700  0.699  0.400
Co  0.901  0.899  0.800
Co  0.099  0.101  0.200
Mo  0.801  0.297  0.600
Mo  0.399  0.901  0.801
Mo  0.601  0.099  0.199
Mo  0.199  0.703  0.400
Mo  0.000  0.500  0.000
O  0.849  0.601  0.201
O  0.454  0.197  0.394
O  0.650  0.399  0.801
O  0.256  0.996  0.993
O  0.052  0.799  0.597
O  0.948  0.201  0.403
O  0.546  0.803  0.606
O  0.744  0.004  0.007
O  0.350  0.601  0.199
O  0.151  0.399  0.799
O  0.119  0.893  0.300
O  0.316  0.096  0.701
O  0.516  0.295  0.103
O  0.714  0.497  0.505
O  0.918  0.693  0.905
O  0.082  0.307  0.095
O  0.286  0.503  0.495
O  0.484  0.705  0.897
O  0.684  0.904  0.299
O  0.881  0.107  0.700
O  0.243  0.528  0.986
O  0.444  0.729  0.387
O  0.630  0.928  0.787
O  0.831  0.128  0.185
O  0.045  0.327  0.585
O  0.757  0.472  0.014
O  0.955  0.673  0.415
O  0.169  0.872  0.815
O  0.370  0.072  0.213
O  0.556  0.271  0.613